(1)
Th3Bi4: optimized geometry, r²SCAN.

abc: 8.3754 8.3754 8.3754
angles: 109.47 109.47 109.47
Sites, in units of the cell vectors:
Bi1 0.0000 0.8423 0.5000
Th1 0.2500 0.6250 0.3750
Bi2 0.6577 0.6577 0.6577
Bi3 0.1577 0.1577 0.1577
Th2 0.7500 0.8750 0.1250
Bi4 0.3423 0.5000 0.0000
Bi5 0.5000 0.0000 0.8423
Bi6 0.0000 0.3423 0.5000
Bi7 0.5000 0.0000 0.3423
Th3 0.6250 0.3750 0.2500
Th4 0.3750 0.2500 0.6250
Bi8 0.8423 0.5000 0.0000
Th5 0.1250 0.7500 0.8750
Th6 0.8750 0.1250 0.7500

Space-group type: I-43d
Crystal system: cubic
DFT total energy, eV per cell: -919.8

(2)
CrH2: optimized geometry, r²SCAN.

abc: 3.0777 3.0777 3.0777
angles: 60.00 60.00 60.00
Sites, in units of the cell vectors:
Cr1 0.0000 0.0000 0.0000
H1 0.2500 0.2500 0.2500
H2 0.7500 0.7500 0.7500

Space-group type: Fm-3m
Crystal system: cubic
DFT total energy, eV per cell: -22.0

(3)
U2Fe12P7: optimized geometry, r²SCAN.

abc: 8.9791 8.9792 3.6351
angles: 90.00 90.00 120.00
Sites, in units of the cell vectors:
Fe1 0.5474 0.1130 0.5000
Fe2 0.3903 0.2076 0.0000
Fe3 0.0993 0.4001 0.0000
P1 0.2666 0.0440 0.5000
Fe4 0.3008 0.9007 0.0000
Fe5 0.7239 0.9504 0.5000
P2 0.5643 0.9267 0.0000
U1 0.0000 0.0000 0.0000
Fe6 0.8870 0.4343 0.5000
P3 0.3623 0.4357 0.0000
P4 0.9561 0.2226 0.5000
P5 0.0734 0.6376 0.0000
P6 0.7774 0.7334 0.5000
Fe7 0.5656 0.4527 0.5000
Fe8 0.0496 0.7735 0.5000
Fe9 0.2264 0.2761 0.5000
Fe10 0.5999 0.6992 0.0000
Fe11 0.8173 0.6097 0.0000
U2 0.3334 0.6667 0.5000
P7 0.6667 0.3333 0.0000
Fe12 0.7924 0.1827 0.0000

Space-group type: P-6
Crystal system: hexagonal
DFT total energy, eV per cell: -406.1

(4)
RbCaHfF7: optimized geometry, r²SCAN.

abc: 6.5066 6.5066 8.4997
angles: 90.00 90.00 116.39
Sites, in units of the cell vectors:
F1 0.3515 0.0666 0.7500
F2 0.5125 0.4875 0.7500
Hf1 0.3050 0.6950 0.2500
F3 0.9334 0.6485 0.7500
F4 0.0233 0.3253 0.7500
F5 0.9767 0.6747 0.2500
Ca1 0.3091 0.6909 0.7500
F6 0.6485 0.9334 0.2500
Rb1 0.0000 0.0000 0.5000
F7 0.7043 0.2957 0.9848
F8 0.0666 0.3515 0.2500
F9 0.2957 0.7043 0.0152
F10 0.3253 0.0233 0.2500
F11 0.7043 0.2957 0.5152
F12 0.2957 0.7043 0.4848
Ca2 0.6909 0.3091 0.2500
Rb2 0.0000 0.0000 0.0000
Hf2 0.6950 0.3050 0.7500
F13 0.4875 0.5125 0.2500
F14 0.6747 0.9767 0.7500

Space-group type: Cmcm
Crystal system: orthorhombic
DFT total energy, eV per cell: -255.8

- What is the formula in the first record?
  Th3Bi4

Please write out number 3 again, unchanged.
U2Fe12P7: optimized geometry, r²SCAN.

abc: 8.9791 8.9792 3.6351
angles: 90.00 90.00 120.00
Sites, in units of the cell vectors:
Fe1 0.5474 0.1130 0.5000
Fe2 0.3903 0.2076 0.0000
Fe3 0.0993 0.4001 0.0000
P1 0.2666 0.0440 0.5000
Fe4 0.3008 0.9007 0.0000
Fe5 0.7239 0.9504 0.5000
P2 0.5643 0.9267 0.0000
U1 0.0000 0.0000 0.0000
Fe6 0.8870 0.4343 0.5000
P3 0.3623 0.4357 0.0000
P4 0.9561 0.2226 0.5000
P5 0.0734 0.6376 0.0000
P6 0.7774 0.7334 0.5000
Fe7 0.5656 0.4527 0.5000
Fe8 0.0496 0.7735 0.5000
Fe9 0.2264 0.2761 0.5000
Fe10 0.5999 0.6992 0.0000
Fe11 0.8173 0.6097 0.0000
U2 0.3334 0.6667 0.5000
P7 0.6667 0.3333 0.0000
Fe12 0.7924 0.1827 0.0000

Space-group type: P-6
Crystal system: hexagonal
DFT total energy, eV per cell: -406.1

- What is the formula in the second record?
  CrH2